The following is a DFT calculation (PBE+U) of crystalline Ga2CoO4 at its relaxed geometry.

Cell: 5.850 8.464 5.997 Å, 90.00 90.00 90.00°
Atoms (fractional coordinates):
O  0.500  0.111  0.744
O  0.235  0.374  0.000
O  0.000  0.139  0.256
Co  0.250  0.625  0.000
O  0.735  0.874  0.500
O  0.265  0.874  0.500
O  0.500  0.639  0.244
O  0.000  0.611  0.756
Co  0.250  0.125  0.500
Ga  0.000  0.375  0.750
Ga  0.500  0.875  0.250
Ga  0.000  0.375  0.250
O  0.235  0.376  0.500
O  0.000  0.139  0.744
Ga  0.000  0.010  0.000
Co  0.750  0.125  0.500
O  0.735  0.876  0.000
O  0.265  0.876  0.000
O  0.500  0.639  0.756
O  0.000  0.611  0.244
Ga  0.500  0.240  0.000
O  0.500  0.111  0.256
Ga  0.500  0.875  0.750
Ga  0.000  0.740  0.500
Ga  0.500  0.510  0.500
O  0.765  0.376  0.500
Co  0.750  0.625  0.000
O  0.765  0.374  0.000

Computed properties:
**Formation energy**: -2.01 eV/atom
**ΔE to the lowest computed polymorph**: 17 meV per atom
**Uncorrected energy**: -42.637 eV/f.u.
**Calculated volume**: 296.98 Å³/cell

---

The following is a DFT calculation (PBE+U) of crystalline Ga2CoO4 at its relaxed geometry.

Cell: 5.978 5.978 10.353 Å, 90.00 106.78 60.00°
Atoms (fractional coordinates):
Ga  0.000  0.750  0.250
O  0.738  0.108  0.131
O  0.262  0.346  0.869
O  0.262  0.119  0.642
Co  0.125  0.188  0.438
O  0.285  0.108  0.131
Co  0.875  0.812  0.562
Co  0.875  0.312  0.062
O  0.285  0.608  0.631
O  0.262  0.846  0.369
O  0.715  0.392  0.369
O  0.262  0.892  0.869
Ga  0.500  0.750  0.250
Ga  0.500  0.250  0.250
Ga  0.500  0.500  0.500
O  0.738  0.381  0.858
Ga  0.500  0.250  0.750
O  0.738  0.881  0.358
Ga  0.500  0.000  0.000
O  0.738  0.654  0.131
O  0.262  0.392  0.369
Co  0.125  0.688  0.938
O  0.738  0.154  0.631
O  0.262  0.619  0.142
Ga  0.500  0.750  0.750
Ga  0.000  0.250  0.750
O  0.715  0.892  0.869
O  0.738  0.608  0.631

Computed properties:
**Formation energy**: -2.03 eV/atom
**ΔE to the lowest computed polymorph**: 0 meV per atom
**Uncorrected energy**: -42.753 eV/f.u.
**Calculated volume**: 302.06 Å³/cell

---

The following is a DFT calculation (PBE+U) of crystalline Ga2CoS2O2 at its relaxed geometry.

Cell: 8.749 8.749 8.749 Å, 155.10 155.10 35.50°
Atoms (fractional coordinates):
O  0.000  0.500  0.500
O  0.500  0.000  0.500
Ga  0.750  0.250  0.500
S  0.144  0.144  0.000
Ga  0.250  0.750  0.500
Co  0.000  0.000  0.000
S  0.856  0.856  0.000

Computed properties:
**Formation energy**: -0.26 eV/atom
**Uncorrected energy**: -29.151 eV/f.u.
**Crystal system**: tetragonal
**Calculated volume**: 118.59 Å³/cell

---

The following is a DFT calculation (PBE+U) of crystalline Sr2GaCo2O7 at its relaxed geometry.

Cell: 12.468 12.468 5.239 Å, 77.87 77.87 23.96°
Atoms (fractional coordinates):
O  0.834  0.667  0.840
O  0.333  0.802  0.188
O  0.698  0.655  0.349
O  0.175  0.690  0.305
Co  0.946  0.932  0.062
O  0.692  0.166  0.824
Co  0.068  0.054  0.938
O  0.810  0.323  0.670
Sr  0.657  0.644  0.843
O  0.677  0.190  0.330
Sr  0.157  0.144  0.357
O  0.310  0.825  0.695
Sr  0.356  0.343  0.157
Ga  0.203  0.298  0.820
O  0.198  0.667  0.812
O  0.846  0.800  0.205
Co  0.569  0.554  0.438
Sr  0.856  0.843  0.643
Co  0.446  0.431  0.562
O  0.333  0.166  0.160
Ga  0.702  0.797  0.180
O  0.834  0.308  0.176
O  0.200  0.154  0.795
O  0.345  0.302  0.651

Computed properties:
**Formation energy**: -1.76 eV/atom
**ΔE to the lowest computed polymorph**: 176 meV per atom
**Uncorrected energy**: -68.266 eV/f.u.
**Crystal system**: monoclinic
**Calculated volume**: 323.00 Å³/cell

---

The following is a DFT calculation (PBE+U) of crystalline Sr2GaCo2O7 at its relaxed geometry.

Cell: 5.176 5.239 12.465 Å, 102.13 101.93 89.98°
Atoms (fractional coordinates):
O  0.309  0.331  0.134
Sr  0.357  0.360  0.701
O  0.683  0.693  0.873
O  0.197  0.178  0.864
O  0.844  0.351  0.645
O  0.808  0.304  0.131
O  0.333  0.162  0.499
O  0.196  0.652  0.352
Sr  0.857  0.844  0.700
Sr  0.156  0.158  0.299
Ga  0.202  0.821  0.500
O  0.832  0.841  0.499
Co  0.067  0.562  0.121
O  0.182  0.682  0.866
O  0.339  0.833  0.141
Co  0.947  0.441  0.882
Co  0.445  0.940  0.876
O  0.344  0.799  0.646
O  0.841  0.807  0.141
O  0.691  0.183  0.858
O  0.693  0.199  0.348
Ga  0.701  0.181  0.499
Sr  0.656  0.644  0.299
Co  0.572  0.064  0.130

Computed properties:
**Formation energy**: -1.93 eV/atom
**ΔE to the lowest computed polymorph**: 0 meV per atom
**Uncorrected energy**: -70.382 eV/f.u.
**Crystal system**: triclinic
**Calculated volume**: 323.00 Å³/cell

---

The following is a DFT calculation (PBE+U) of crystalline Sr2YGaCo2O7 at its relaxed geometry.

Cell: 5.527 5.681 11.988 Å, 103.64 103.27 89.90°
Atoms (fractional coordinates):
Y  0.501  0.497  0.000
Co  0.928  0.422  0.856
Y  0.999  0.997  0.001
O  0.347  0.776  0.649
O  0.680  0.673  0.873
Co  0.076  0.577  0.154
Co  0.578  0.071  0.159
O  0.324  0.804  0.131
Sr  0.841  0.821  0.697
O  0.364  0.121  0.499
O  0.697  0.217  0.348
Co  0.418  0.922  0.841
O  0.179  0.694  0.876
Sr  0.641  0.622  0.300
O  0.862  0.869  0.498
O  0.806  0.319  0.126
Sr  0.340  0.369  0.698
O  0.693  0.173  0.871
O  0.854  0.374  0.640
Sr  0.144  0.170  0.300
Ga  0.708  0.170  0.497
Ga  0.208  0.821  0.500
O  0.191  0.189  0.869
O  0.203  0.622  0.353
O  0.305  0.300  0.124
O  0.822  0.818  0.127

Computed properties:
**Formation energy**: -2.52 eV/atom
**Uncorrected energy**: -86.432 eV/f.u.
**Crystal system**: triclinic
**Calculated volume**: 355.48 Å³/cell

---

The following is a DFT calculation (PBE+U) of crystalline Gd2MnCoO6 at its relaxed geometry.

Cell: 5.681 5.326 9.184 Å, 54.87 90.00 90.00°
Atoms (fractional coordinates):
O  0.791  0.738  0.447
O  0.817  0.158  0.049
O  0.317  0.842  0.451
O  0.031  0.646  0.753
O  0.291  0.262  0.053
O  0.469  0.646  0.253
Gd  0.571  0.232  0.250
Gd  0.929  0.232  0.750
O  0.183  0.842  0.951
Mn  0.000  0.500  0.000
O  0.709  0.738  0.947
O  0.209  0.262  0.553
Gd  0.429  0.768  0.750
Gd  0.071  0.768  0.250
O  0.683  0.158  0.549
Co  0.500  0.000  0.000
O  0.531  0.354  0.747
Co  0.000  0.000  0.500
Mn  0.500  0.500  0.500
O  0.969  0.354  0.247

Computed properties:
**Formation energy**: -2.81 eV/atom
**Uncorrected energy**: -94.813 eV/f.u.
**Crystal system**: monoclinic
**Calculated volume**: 227.28 Å³/cell

---

The following is a DFT calculation (PBE+U) of crystalline GdCoO3 at its relaxed geometry.

Cell: 3.773 3.858 3.774 Å, 90.00 90.00 90.00°
Atoms (fractional coordinates):
O  0.000  0.500  0.500
O  0.500  0.000  0.500
O  0.500  0.500  0.000
Co  0.500  0.500  0.500
Gd  0.000  0.000  0.000

Computed properties:
**Formation energy**: -2.33 eV/atom
**Uncorrected energy**: -44.002 eV/f.u.
**Crystal system**: tetragonal
**Calculated volume**: 54.94 Å³/cell